The following is a PBE with a Hubbard U calculation of an optimized crystal structure of Sr2MgZrCoO6, from Materials Project.

abc: 6.444 6.444 6.444
angles: 127.47 126.84 77.99
Element x y z (fractional)
1 Sr 0.181 0.181 0.000
2 Sr 0.819 0.819 0.000
3 Mg 0.500 0.500 0.000
4 Zr 0.000 0.500 0.500
5 Co 0.500 0.000 0.500
6 O 0.215 0.715 0.500
7 O 0.259 0.246 0.505
8 O 0.259 0.754 0.014
9 O 0.741 0.246 0.986
10 O 0.741 0.754 0.495
11 O 0.785 0.285 0.500

Calculated values
- formation energy from the elements (eV/atom) = -2.65
- crystal system = orthorhombic